Entry 1:
Entry from Materials Project: an optimized crystal structure of K2Cd3S4 (PBE).

- calculated volume (Å³ per atom) = 27.51
- final energy (eV for the cell shown) = -116.286
- density (Mg/m³) = 3.65

```
data_K2Cd3S4
_chemical_formula_sum 'K8 Cd12 S16'
_symmetry_space_group_name_H-M 'P n m a'
_symmetry_Int_Tables_number 62
_cell_length_a 14.079
_cell_length_b 10.418
_cell_length_c 6.752
_cell_angle_alpha 90.00
_cell_angle_beta 90.00
_cell_angle_gamma 90.00
loop_
_symmetry_equiv_pos_as_xyz
'x,y,z'
'-x,-y,-z'
'-x+1/2,-y,z+1/2'
'x+1/2,y,-z+1/2'
'x+1/2,-y+1/2,-z+1/2'
'-x+1/2,y+1/2,z+1/2'
'-x,y+1/2,-z'
'x,-y+1/2,z'
loop_
_atom_site_label
_atom_site_fract_x
_atom_site_fract_y
_atom_site_fract_z
_atom_site_occupancy
K1 0.000 0.000 0.000 1
K2 0.031 0.250 0.485 1
Cd1 0.204 0.750 0.215 1
Cd2 0.249 0.093 0.155 1
S1 0.136 0.533 0.373 1
S2 0.143 0.250 0.926 1
S3 0.146 0.750 0.861 1
```

---

Entry 2:
Entry from Materials Project: an optimized crystal structure of K2CdSnS4 (PBE).

- magnetization (μB/cell) = 0.0
- calculated volume (Å³ per atom) = 29.74
- final energy (eV for the cell shown) = -243.941
- density (Mg/m³) = 3.05

```
data_K2CdSnS4
_chemical_formula_sum 'K16 Cd8 Sn8 S32'
_symmetry_space_group_name_H-M 'C 1 2/c 1'
_symmetry_Int_Tables_number 15
_cell_length_a 11.275
_cell_length_b 11.219
_cell_length_c 15.216
_cell_angle_alpha 90.00
_cell_angle_beta 98.52
_cell_angle_gamma 90.00
loop_
_symmetry_equiv_pos_as_xyz
'x,y,z'
'-x,-y,-z'
'-x,y,-z+1/2'
'x,-y,z+1/2'
'x+1/2,y+1/2,z'
'-x+1/2,-y+1/2,-z'
'-x+1/2,y+1/2,-z+1/2'
'x+1/2,-y+1/2,z+1/2'
loop_
_atom_site_label
_atom_site_fract_x
_atom_site_fract_y
_atom_site_fract_z
_atom_site_occupancy
K1 0.033 0.189 0.383 1
K2 0.209 0.436 0.120 1
Cd1 0.139 0.448 0.840 1
Sn1 0.102 0.194 0.650 1
S1 0.000 0.065 0.750 1
S2 0.000 0.412 0.250 1
S3 0.047 0.306 0.945 1
S4 0.187 0.053 0.558 1
S5 0.249 0.188 0.261 1
```

---

Entry 3:
Entry from Materials Project: an optimized crystal structure of KCdSb (PBE).

- calculated volume (Å³ per atom) = 32.99
- final energy (eV for the cell shown) = -14.702
- density (Mg/m³) = 4.58

```
data_KCdSb
_chemical_formula_sum 'K2 Cd2 Sb2'
_symmetry_space_group_name_H-M 'P 4/n m m'
_symmetry_Int_Tables_number 129
_cell_length_a 4.852
_cell_length_b 4.852
_cell_length_c 8.408
_cell_angle_alpha 90.00
_cell_angle_beta 90.00
_cell_angle_gamma 90.00
loop_
_symmetry_equiv_pos_as_xyz
'x,y,z'
'-x,-y,-z'
'-y+1/2,x,z'
'y+1/2,-x,-z'
'-x+1/2,-y+1/2,z'
'x+1/2,y+1/2,-z'
'y,-x+1/2,z'
'-y,x+1/2,-z'
'x+1/2,-y,-z'
'-x+1/2,y,z'
'-y,-x,-z'
'y,x,z'
'-x,y+1/2,-z'
'x,-y+1/2,z'
'y+1/2,x+1/2,-z'
'-y+1/2,-x+1/2,z'
loop_
_atom_site_label
_atom_site_fract_x
_atom_site_fract_y
_atom_site_fract_z
_atom_site_occupancy
K1 0.250 0.250 0.157 1
Cd1 0.250 0.750 0.500 1
Sb1 0.250 0.250 0.712 1
```

---

Entry 4:
Entry from Materials Project: an optimized crystal structure of K11Cd2Sb5 (PBE).

- calculated volume (Å³ per atom) = 39.88
- final energy (eV for the cell shown) = -84.973
- density (Mg/m³) = 2.92

```
data_K11Cd2Sb5
_chemical_formula_sum 'K22 Cd4 Sb10'
_symmetry_space_group_name_H-M 'P -1'
_symmetry_Int_Tables_number 2
_cell_length_a 10.050
_cell_length_b 12.142
_cell_length_c 12.994
_cell_angle_alpha 103.56
_cell_angle_beta 97.19
_cell_angle_gamma 107.62
loop_
_symmetry_equiv_pos_as_xyz
'x,y,z'
'-x,-y,-z'
loop_
_atom_site_label
_atom_site_fract_x
_atom_site_fract_y
_atom_site_fract_z
_atom_site_occupancy
K1 0.050 0.206 0.269 1
K2 0.124 0.405 0.017 1
K3 0.142 0.926 0.037 1
K4 0.203 0.058 0.571 1
K5 0.203 0.579 0.571 1
K6 0.305 0.394 0.776 1
K7 0.350 0.912 0.790 1
K8 0.365 0.826 0.439 1
K9 0.367 0.334 0.469 1
K10 0.392 0.747 0.141 1
K11 0.413 0.273 0.136 1
Cd1 0.054 0.541 0.281 1
Cd2 0.054 0.876 0.285 1
Sb1 0.001 0.265 0.555 1
Sb2 0.190 0.131 0.865 1
Sb3 0.192 0.648 0.866 1
Sb4 0.337 0.527 0.300 1
Sb5 0.339 0.044 0.308 1
```

---

Entry 5:
Entry from Materials Project: an optimized crystal structure of K6Cd4Sn3Se13 (PBE).

- magnetization (μB/cell) = 0.0
- calculated volume (Å³ per atom) = 42.02
- final energy (eV for the cell shown) = -264.356
- density (Mg/m³) = 3.14

```
data_K6Cd4Sn3Se13
_chemical_formula_sum 'K18 Cd12 Sn9 Se39'
_symmetry_space_group_name_H-M 'R 3 m'
_symmetry_Int_Tables_number 160
_symmetry_space_group_name_Hall 'R 3 -2"'
_cell_length_a 15.2456
_cell_length_b 15.2456
_cell_length_c 16.2820
_cell_angle_alpha 90.00
_cell_angle_beta 90.00
_cell_angle_gamma 120.00
loop_
_atom_site_label
_atom_site_fract_x
_atom_site_fract_y
_atom_site_fract_z
_atom_site_occupancy
K1 0.0534 0.5267 0.0000 1
K2 0.1908 0.3816 0.6511 1
Cd1 0.0000 0.0000 0.0034 1
Cd2 0.1977 0.0988 0.2096 1
Sn1 0.0268 0.5134 0.7424 1
Se1 0.0000 0.0000 0.1649 1
Se2 0.0010 0.2915 0.1569 1
Se3 0.0964 0.1928 0.9467 1
Se4 0.1725 0.0863 0.3720 1
```

---

Entry 6:
Entry from Materials Project: an optimized crystal structure of K2CdSn (PBE).

- magnetization (μB/cell) = 0.0
- calculated volume (Å³ per atom) = 39.16
- final energy (eV for the cell shown) = -32.137
- density (Mg/m³) = 3.28

```
data_K2CdSn
_chemical_formula_sum 'K8 Cd4 Sn4'
_symmetry_space_group_name_H-M 'A m a 2'
_symmetry_Int_Tables_number 40
_cell_length_a 6.571
_cell_length_b 8.651
_cell_length_c 11.022
_cell_angle_alpha 90.00
_cell_angle_beta 90.00
_cell_angle_gamma 90.00
loop_
_symmetry_equiv_pos_as_xyz
'x,y,z'
'-x,-y,z'
'-x+1/2,y,z'
'x+1/2,-y,z'
'x,y+1/2,z+1/2'
'-x,-y+1/2,z+1/2'
'-x+1/2,y+1/2,z+1/2'
'x+1/2,-y+1/2,z+1/2'
loop_
_atom_site_label
_atom_site_fract_x
_atom_site_fract_y
_atom_site_fract_z
_atom_site_occupancy
K1 0.250 0.139 0.000 1
K2 0.250 0.150 0.348 1
Cd1 0.000 0.000 0.671 1
Sn1 0.250 0.266 0.676 1
```